Material: MgTl4V4Te4O20
Method: DFT, GGA+U
State: optimized geometry

a = 7.070 Å, b = 8.250 Å, c = 9.279 Å
α = 86.50°, β = 91.60°, γ = 89.86°
Atoms (fractional coordinates):
V 0.303 0.808 0.255
V 0.803 0.789 0.241
V 0.191 0.320 0.769
V 0.702 0.307 0.745
O 0.951 0.264 0.818
O 0.874 0.563 0.366
O 0.097 0.370 0.569
O 0.719 0.495 0.654
O 0.777 0.982 0.160
O 0.556 0.746 0.317
O 0.610 0.056 0.857
O 0.375 0.531 0.127
O 0.213 0.509 0.824
O 0.157 0.026 0.634
O 0.627 0.377 0.941
O 0.261 0.173 0.933
O 0.394 0.881 0.065
O 0.076 0.762 0.188
O 0.743 0.134 0.595
O 0.887 0.869 0.450
O 0.260 0.648 0.429
O 0.754 0.651 0.076
O 0.425 0.284 0.688
O 0.279 0.986 0.329
Tl 0.993 0.923 0.910
Tl 0.547 0.749 0.575
Tl 0.521 0.401 0.365
Tl 0.019 0.411 0.120
Te 0.527 0.593 0.972
Te 0.028 0.599 0.530
Te 0.496 0.101 0.035
Te 0.971 0.086 0.487
Mg 0.445 0.053 0.666

Summary:
total energy after the MP2020 corrections: -219.686 eV for the cell shown
energy relative to the elements: -60.767 eV/f.u.
energy above the lowest structure with this stoichiometry: 6 meV/atom
theoretical density: 5.77 g/cm3
E_tot: -6.0347 eV per atom